# La3AsI3, relaxed, DFT PBE-GGA
# ΔH_f (0 K) in eV per atom: -1.6314
data_La3AsI3
_cell_length_a 12.6714
_cell_length_b 12.6714
_cell_length_c 12.6714
_cell_angle_alpha 90.00
_cell_angle_beta 90.00
_cell_angle_gamma 90.00
_space_group_name_H-M_alt 'I 41 3 2'
_space_group_IT_number 214
_space_group_name_Hall 'I 4bd 2c 3'
loop_
_atom_site_label
_atom_site_type_symbol
_atom_site_fract_x
_atom_site_fract_y
_atom_site_fract_z
La1 La 0.1097 0.1403 0.6250
As1 As 0.1250 0.3750 0.6250
I1 I 0.1163 0.3663 0.1250